No. 1
Density functional theory data (GGA-PBE) for Na3AlN2 after structural relaxation.

symmetry = Ia-3, No. 206
size of the total moment = 0.00 μB/cell
DFT formation energy = -0.318 eV per atom
volume = 614.1 Å³ per cell
E_tot = -4.26 eV/atom

Cell lengths 9.2746, 10.7094, 10.7094 Å; angles 90.00, 125.26, 54.74 degrees
Fractional coordinates of all 48 atoms:
N 0.3552 0.3224 0.4276
Al 0.7904 0.5000 0.5000
Al 0.7904 0.7096 0.7904
Na 0.3265 0.2012 0.7589
Na 0.3265 0.4723 0.0677
N 0.0000 0.2500 0.1776
N 0.5000 0.4276 0.7500
N 0.0000 0.7500 0.8224
Na 0.7290 0.5399 0.2012
Na 0.8088 0.9323 0.0399
N 0.0000 0.7500 0.3224
Na 0.1912 0.2411 0.4601
N 0.5000 0.5724 0.2500
Na 0.1912 0.0677 0.9601
Na 0.8088 0.4323 0.7689
Na 0.2710 0.4601 0.7988
Na 0.8088 0.2589 0.2689
N 0.6448 0.6776 0.5724
Na 0.6735 0.5277 0.9323
Na 0.7290 0.0399 0.5277
Na 0.7290 0.7311 0.0277
Al 0.2096 0.0000 0.7096
Na 0.8088 0.7589 0.5399
Al 0.2096 0.2904 0.2096
Al 0.2096 0.5000 0.5000
Na 0.2710 0.2689 0.9723
Na 0.2710 0.9601 0.4723
N 0.0000 0.5000 0.0000
N 0.0000 0.0000 0.0000
N 0.3552 0.8224 0.9276
Na 0.6735 0.0277 0.7411
Al 0.7904 0.2096 0.0000
Na 0.1912 0.7411 0.7311
N 0.5000 0.0724 0.2500
N 0.0000 0.0000 0.5000
Na 0.7290 0.2311 0.7012
Al 0.2096 0.7904 0.0000
Na 0.2710 0.7689 0.2988
Na 0.1912 0.5677 0.2311
N 0.0000 0.5000 0.5000
N 0.6448 0.1776 0.0724
Na 0.6735 0.7988 0.2411
N 0.5000 0.9276 0.7500
Na 0.6735 0.2988 0.4323
N 0.0000 0.2500 0.6776
Na 0.3265 0.7012 0.5677
Na 0.3265 0.9723 0.2589
Al 0.7904 0.0000 0.2904

=====

No. 2
Density functional theory data (GGA-PBE) for Ba3LaCl9 after structural relaxation.

symmetry = Pc, No. 7
size of the total moment = 0.00 μB/cell
DFT formation energy = -2.918 eV per atom
volume = 1655.6 Å³ per cell
E_tot = -4.60 eV/atom

Cell lengths 7.1830, 7.7037, 29.9389 Å; angles 87.90, 90.00, 90.00 degrees
Fractional coordinates of all 52 atoms:
La 0.4799 0.7929 0.3067
Cl 0.8947 0.3219 0.1988
Ba 0.5243 0.2192 0.6921
Ba 0.0138 0.2812 0.3082
Ba 0.9952 0.7130 0.1920
Cl 0.7909 0.9762 0.8678
Cl 0.7005 0.8912 0.9943
Cl 0.6034 0.1439 0.2975
Ba 0.5148 0.1825 0.9306
Cl 0.3966 0.1439 0.7975
La 0.4560 0.8181 0.0670
Cl 0.6645 0.8469 0.3906
Ba 0.0266 0.6841 0.4331
Ba 0.0048 0.7130 0.6920
Ba 0.4757 0.2192 0.1921
Cl 0.3075 0.5171 0.2527
Cl 0.1900 0.9823 0.2531
Cl 0.4027 0.8407 0.7095
La 0.5201 0.7929 0.8067
Cl 0.5973 0.8407 0.2095
Cl 0.3574 0.1191 0.5987
Cl 0.7854 0.6499 0.0995
Cl 0.8100 0.9823 0.7531
Cl 0.2357 0.4005 0.4898
Cl 0.8373 0.6468 0.2957
Cl 0.2995 0.8912 0.4943
Cl 0.2146 0.6499 0.5995
Cl 0.6426 0.1191 0.0987
Cl 0.8531 0.3441 0.4009
Ba 0.4852 0.1825 0.4306
Cl 0.7529 0.0605 0.5108
Cl 0.8042 0.9923 0.6271
Cl 0.6925 0.5171 0.7527
Cl 0.1053 0.3219 0.6988
Cl 0.2471 0.0605 0.0108
Ba 0.9896 0.3128 0.5699
Cl 0.3355 0.8469 0.8906
Cl 0.1627 0.6468 0.7957
Cl 0.6988 0.5307 0.6274
Ba 0.9862 0.2812 0.8082
Cl 0.6798 0.5118 0.8663
Cl 0.1469 0.3441 0.9009
Ba 0.9734 0.6841 0.9331
Cl 0.3012 0.5307 0.1274
Cl 0.1958 0.9923 0.1271
Cl 0.3202 0.5118 0.3663
Cl 0.7437 0.5897 0.5119
Cl 0.7643 0.4005 0.9898
Ba 0.0104 0.3128 0.0699
Cl 0.2091 0.9762 0.3678
La 0.5440 0.8181 0.5670
Cl 0.2563 0.5897 0.0119

=====

No. 3
Density functional theory data (GGA-PBE) for Ca5SiP2O12 after structural relaxation.

symmetry = P2_12_12_1, No. 19
size of the total moment = 0.00 μB/cell
DFT formation energy = -3.387 eV per atom
volume = 1078.1 Å³ per cell
E_tot = -7.26 eV/atom

Cell lengths 6.7943, 10.1972, 15.5604 Å; angles 90.00, 90.00, 90.00 degrees
Fractional coordinates of all 80 atoms:
O 0.4423 0.0293 0.7952
P 0.6015 0.1309 0.8227
Ca 0.2897 0.3143 0.9978
O 0.8156 0.5629 0.4999
O 0.7255 0.9518 0.3593
O 0.7847 0.0440 0.1370
Ca 0.9226 0.1615 0.6432
Ca 0.1184 0.0624 0.1569
O 0.2059 0.8535 0.9148
Ca 0.2103 0.6857 0.4978
O 0.2941 0.1465 0.4148
O 0.0577 0.9707 0.2952
P 0.1015 0.3691 0.1773
O 0.4734 0.7203 0.6031
Ca 0.1160 0.0682 0.8405
P 0.7764 0.5783 0.0010
O 0.4755 0.7271 0.4014
O 0.8406 0.7713 0.7588
O 0.2847 0.4560 0.8630
Ca 0.6160 0.4318 0.1595
Ca 0.3816 0.9376 0.6569
O 0.6844 0.4371 0.9999
O 0.3156 0.9371 0.5001
Ca 0.5774 0.8385 0.1432
O 0.7046 0.6469 0.9171
O 0.1844 0.0629 0.0001
Ca 0.0860 0.6665 0.1432
O 0.9734 0.7797 0.3969
O 0.2255 0.5482 0.6407
O 0.9755 0.7729 0.5986
Ca 0.7897 0.1857 0.0022
Ca 0.8816 0.5624 0.3431
Ca 0.5860 0.8335 0.8568
P 0.2764 0.9217 0.9990
Ca 0.4226 0.3385 0.3568
Si 0.1016 0.3685 0.8220
O 0.9423 0.4707 0.2048
O 0.2153 0.5440 0.3630
Si 0.8984 0.8685 0.6780
Si 0.3984 0.6315 0.3220
O 0.4957 0.4201 0.5008
O 0.0245 0.2729 0.9014
O 0.5266 0.2203 0.8969
O 0.3436 0.7226 0.7538
O 0.1594 0.2713 0.7412
O 0.5661 0.5234 0.2930
Ca 0.7103 0.8143 0.5022
O 0.1564 0.2774 0.2538
O 0.5043 0.9201 0.9992
O 0.3406 0.7287 0.2412
O 0.6594 0.2287 0.2588
Ca 0.0774 0.6615 0.8568
O 0.7059 0.6465 0.0852
O 0.9339 0.4766 0.7930
O 0.7745 0.0482 0.8593
O 0.0266 0.2797 0.1031
Ca 0.4140 0.3335 0.6432
Ca 0.8840 0.5682 0.6595
O 0.9957 0.0799 0.4992
P 0.2236 0.0783 0.4990
O 0.2954 0.1469 0.5829
O 0.6564 0.2226 0.7462
Ca 0.9140 0.1665 0.3568
O 0.0043 0.5799 0.0008
O 0.0661 0.9766 0.7070
O 0.7941 0.3535 0.5852
O 0.4339 0.0234 0.2070
P 0.3985 0.6309 0.6773
Ca 0.6184 0.4376 0.8431
O 0.5577 0.5293 0.7048
O 0.7153 0.9560 0.6370
O 0.8436 0.7774 0.2462
O 0.2046 0.8531 0.0829
Ca 0.3840 0.9318 0.3405
O 0.5245 0.2271 0.0986
P 0.7236 0.4217 0.5010
O 0.7954 0.3531 0.4171
O 0.2745 0.4518 0.1407
Si 0.6016 0.1315 0.1780
P 0.8985 0.8691 0.3227

=====

No. 4
Density functional theory data (GGA-PBE) for Eu2ZnGe3 after structural relaxation.

symmetry = Fmmm, No. 69
size of the total moment = 28.19 μB/cell
DFT formation energy = -0.555 eV per atom
volume = 278.5 Å³ per cell
E_tot = -6.50 eV/atom

Cell lengths 8.6196, 8.5442, 6.1340 Å; angles 69.72, 68.40, 41.88 degrees
Fractional coordinates of all 12 atoms:
Eu 0.7554 0.2446 0.7554
Zn 0.6665 0.6665 0.3335
Ge 0.8304 0.3383 0.1696
Ge 0.1696 0.6617 0.8304
Eu 0.7500 0.7500 0.7500
Eu 0.2446 0.7554 0.2446
Eu 0.2500 0.2500 0.2500
Ge 0.1689 0.1689 0.8311
Ge 0.6617 0.1696 0.3383
Zn 0.3335 0.3335 0.6665
Ge 0.8311 0.8311 0.1689
Ge 0.3383 0.8304 0.6617

=====

No. 5
Density functional theory data (GGA-PBE) for CuSeO4 after structural relaxation.

symmetry = Pnma, No. 62
DFT formation energy = -1.010 eV per atom
volume = 310.2 Å³ per cell
E_tot = -5.12 eV/atom

Cell lengths 5.0695, 6.8444, 8.9402 Å; angles 90.00, 90.00, 90.00 degrees
Fractional coordinates of all 24 atoms:
Se 0.0434 0.2500 0.3184
O 0.3072 0.0435 0.8734
O 0.2687 0.7500 0.6265
O 0.9289 0.7500 0.8765
Se 0.9566 0.7500 0.6816
Cu 0.0000 0.5000 0.0000
Cu 0.5000 0.0000 0.5000
O 0.1928 0.0435 0.3734
O 0.4289 0.2500 0.6235
O 0.3072 0.4565 0.8734
O 0.1928 0.4565 0.3734
O 0.6928 0.9565 0.1266
O 0.7687 0.2500 0.8735
O 0.0711 0.2500 0.1235
O 0.8072 0.9565 0.6266
O 0.6928 0.5435 0.1266
O 0.5711 0.7500 0.3765
Se 0.5434 0.7500 0.1816
O 0.7313 0.2500 0.3735
O 0.8072 0.5435 0.6266
Cu 0.5000 0.5000 0.5000
Cu 0.0000 0.0000 0.0000
O 0.2313 0.7500 0.1265
Se 0.4566 0.2500 0.8184

=====

No. 6
Density functional theory data (GGA-PBE) for TmAl2 after structural relaxation.

symmetry = Fd-3m, No. 227
DFT formation energy = -0.499 eV per atom
volume = 118.6 Å³ per cell
E_tot = -4.49 eV/atom

Cell lengths 5.5147, 5.5147, 5.5147 Å; angles 60.00, 60.00, 60.00 degrees
Fractional coordinates of all 6 atoms:
Tm 0.2500 0.2500 0.2500
Al 0.3750 0.8750 0.8750
Al 0.8750 0.8750 0.8750
Al 0.8750 0.8750 0.3750
Tm 0.5000 0.5000 0.5000
Al 0.8750 0.3750 0.8750